Entry 1:
# Tb2NiB10 (PBE-GGA, optimized geometry)
# Formation energy: -0.5188 eV per atom
data_Tb2NiB10
_symmetry_space_group_name_H-M 'P b a m'
_symmetry_Int_Tables_number 55
_cell_length_a 5.559
_cell_length_b 11.101
_cell_length_c 4.147
_cell_angle_alpha 90.00
_cell_angle_beta 90.00
_cell_angle_gamma 90.00
loop_
_symmetry_equiv_pos_as_xyz
'x,y,z'
'-x,-y,-z'
'-x,-y,z'
'x,y,-z'
'x+1/2,-y+1/2,-z'
'-x+1/2,y+1/2,z'
'-x+1/2,y+1/2,-z'
'x+1/2,-y+1/2,z'
loop_
_atom_site_label
_atom_site_type_symbol
_atom_site_fract_x
_atom_site_fract_y
_atom_site_fract_z
Tb1 Tb 0.193 0.136 0.000
Ni1 Ni 0.000 0.500 0.500
B1 B 0.036 0.312 0.500
B2 B 0.125 0.959 0.500
B3 B 0.154 0.803 0.500
B4 B 0.204 0.386 0.199

***

Entry 2:
# Ti3Ni20B6 (PBE-GGA, optimized geometry)
# Formation energy: -0.4258 eV per atom
data_Ti3Ni20B6
_symmetry_space_group_name_H-M 'F m -3 m'
_symmetry_Int_Tables_number 225
_symmetry_space_group_name_Hall '-F 4 2 3'
_cell_length_a 10.470
_cell_length_b 10.470
_cell_length_c 10.470
_cell_angle_alpha 90.00
_cell_angle_beta 90.00
_cell_angle_gamma 90.00
loop_
_atom_site_label
_atom_site_type_symbol
_atom_site_fract_x
_atom_site_fract_y
_atom_site_fract_z
Ti1 Ti 0.000 0.000 0.000
Ti2 Ti 0.250 0.250 0.250
Ni1 Ni 0.000 0.171 0.171
Ni2 Ni 0.117 0.117 0.383
B1 B 0.000 0.000 0.269

***

Entry 3:
# Tm2Ni3B6 (PBE-GGA, optimized geometry)
# Formation energy: -0.5944 eV per atom
data_Tm2Ni3B6
_symmetry_space_group_name_H-M 'C m m m'
_symmetry_Int_Tables_number 65
_symmetry_space_group_name_Hall '-C 2 2'
_cell_length_a 7.678
_cell_length_b 8.623
_cell_length_c 3.452
_cell_angle_alpha 90.00
_cell_angle_beta 90.00
_cell_angle_gamma 90.00
loop_
_atom_site_label
_atom_site_type_symbol
_atom_site_fract_x
_atom_site_fract_y
_atom_site_fract_z
Tm1 Tm 0.000 0.223 0.000
Ni1 Ni 0.000 0.500 0.500
Ni2 Ni 0.227 0.500 0.000
B1 B 0.113 0.000 0.500
B2 B 0.234 0.350 0.500

***

Entry 4:
# Tm3Ni13B2 (PBE-GGA, optimized geometry)
# Formation energy: -0.4480 eV per atom
data_Tm3Ni13B2
_symmetry_space_group_name_H-M 'P 6/m m m'
_symmetry_Int_Tables_number 191
_symmetry_space_group_name_Hall '-P 6 2'
_cell_length_a 4.9202
_cell_length_b 4.9202
_cell_length_c 10.9328
_cell_angle_alpha 90.00
_cell_angle_beta 90.00
_cell_angle_gamma 120.00
loop_
_atom_site_label
_atom_site_type_symbol
_atom_site_fract_x
_atom_site_fract_y
_atom_site_fract_z
Tm1 Tm 0.0000 0.0000 0.0000
Tm2 Tm 0.0000 0.0000 0.3262
Ni1 Ni 0.0000 0.5000 0.1339
Ni2 Ni 0.0000 0.5000 0.5000
Ni3 Ni 0.3333 0.6667 0.3198
B1 B 0.3333 0.6667 0.0000

***

Entry 5:
# Tm3Ni7B2 (PBE-GGA, optimized geometry)
# Formation energy: -0.5463 eV per atom
data_Tm3Ni7B2
_symmetry_space_group_name_H-M 'P 63/m m c'
_symmetry_Int_Tables_number 194
_symmetry_space_group_name_Hall '-P 6c 2c'
_cell_length_a 5.0283
_cell_length_b 5.0283
_cell_length_c 14.2346
_cell_angle_alpha 90.00
_cell_angle_beta 90.00
_cell_angle_gamma 120.00
loop_
_atom_site_label
_atom_site_type_symbol
_atom_site_fract_x
_atom_site_fract_y
_atom_site_fract_z
Tm1 Tm 0.3333 0.6667 0.0324
Tm2 Tm 0.3333 0.6667 0.2500
Ni1 Ni 0.0000 0.0000 0.0000
Ni2 Ni 0.1658 0.3316 0.6481
B1 B 0.0000 0.0000 0.2500
B2 B 0.3333 0.6667 0.7500

***

Entry 6:
# TmNiB4 (PBE-GGA, optimized geometry)
# Formation energy: -0.5634 eV per atom
data_TmNiB4
_symmetry_space_group_name_H-M 'P b a m'
_symmetry_Int_Tables_number 55
_cell_length_a 5.879
_cell_length_b 11.393
_cell_length_c 3.391
_cell_angle_alpha 90.00
_cell_angle_beta 90.00
_cell_angle_gamma 90.00
loop_
_symmetry_equiv_pos_as_xyz
'x,y,z'
'-x,-y,-z'
'-x,-y,z'
'x,y,-z'
'x+1/2,-y+1/2,-z'
'-x+1/2,y+1/2,z'
'-x+1/2,y+1/2,-z'
'x+1/2,-y+1/2,z'
loop_
_atom_site_label
_atom_site_type_symbol
_atom_site_fract_x
_atom_site_fract_y
_atom_site_fract_z
Tm1 Tm 0.127 0.150 0.000
Ni1 Ni 0.134 0.412 0.000
B1 B 0.021 0.692 0.500
B2 B 0.113 0.548 0.500
B3 B 0.137 0.967 0.500
B4 B 0.215 0.815 0.500

***

Entry 7:
# Tm2Ni10B5 (PBE-GGA, optimized geometry)
# Formation energy: -0.4811 eV per atom
data_Tm2Ni10B5
_symmetry_space_group_name_H-M 'P b c a'
_symmetry_Int_Tables_number 61
_cell_length_a 8.935
_cell_length_b 9.429
_cell_length_c 17.478
_cell_angle_alpha 90.00
_cell_angle_beta 90.00
_cell_angle_gamma 90.00
loop_
_symmetry_equiv_pos_as_xyz
'x,y,z'
'-x,-y,-z'
'-x+1/2,-y,z+1/2'
'x+1/2,y,-z+1/2'
'x+1/2,-y+1/2,-z'
'-x+1/2,y+1/2,z'
'-x,y+1/2,-z+1/2'
'x,-y+1/2,z+1/2'
loop_
_atom_site_label
_atom_site_type_symbol
_atom_site_fract_x
_atom_site_fract_y
_atom_site_fract_z
Tm1 Tm 0.124 0.141 0.222
Tm2 Tm 0.219 0.112 0.020
Ni1 Ni 0.042 0.522 0.404
Ni2 Ni 0.043 0.719 0.901
Ni3 Ni 0.079 0.114 0.485
Ni4 Ni 0.082 0.667 0.531
Ni5 Ni 0.092 0.647 0.150
Ni6 Ni 0.122 0.038 0.773
Ni7 Ni 0.127 0.677 0.763
Ni8 Ni 0.162 0.218 0.873
Ni9 Ni 0.177 0.006 0.369
Ni10 Ni 0.231 0.107 0.635
B1 B 0.023 0.064 0.677
B2 B 0.040 0.018 0.582
B3 B 0.046 0.641 0.656
B4 B 0.167 0.650 0.333
B5 B 0.213 0.649 0.439

***

Entry 8:
# Tm4NiB13 (PBE-GGA, optimized geometry)
# Formation energy: -0.5135 eV per atom
data_Tm4NiB13
_symmetry_space_group_name_H-M 'P 4/m n c'
_symmetry_Int_Tables_number 128
_symmetry_space_group_name_Hall '-P 4 2n'
_cell_length_a 7.246
_cell_length_b 7.246
_cell_length_c 6.785
_cell_angle_alpha 90.00
_cell_angle_beta 90.00
_cell_angle_gamma 90.00
loop_
_atom_site_label
_atom_site_type_symbol
_atom_site_fract_x
_atom_site_fract_y
_atom_site_fract_z
Tm1 Tm 0.180 0.315 0.000
Ni1 Ni 0.000 0.000 0.500
B1 B 0.000 0.000 0.000
B2 B 0.040 0.829 0.243
B3 B 0.091 0.591 0.250

***

Entry 9:
# U2Ni21B6 (PBE-GGA, optimized geometry)
# Formation energy: -0.3196 eV per atom
data_U2Ni21B6
_symmetry_space_group_name_H-M 'F m -3 m'
_symmetry_Int_Tables_number 225
_symmetry_space_group_name_Hall '-F 4 2 3'
_cell_length_a 10.632
_cell_length_b 10.632
_cell_length_c 10.632
_cell_angle_alpha 90.00
_cell_angle_beta 90.00
_cell_angle_gamma 90.00
loop_
_atom_site_label
_atom_site_type_symbol
_atom_site_fract_x
_atom_site_fract_y
_atom_site_fract_z
U1 U 0.250 0.250 0.250
Ni1 Ni 0.000 0.000 0.000
Ni2 Ni 0.000 0.170 0.170
Ni3 Ni 0.115 0.115 0.385
B1 B 0.000 0.000 0.265

***

Entry 10:
# NiB2W2 (PBE-GGA, optimized geometry)
# Formation energy: -0.4356 eV per atom
data_NiB2W2
_symmetry_space_group_name_H-M 'I m m m'
_symmetry_Int_Tables_number 71
_symmetry_space_group_name_Hall '-I 2 2'
_cell_length_a 3.201
_cell_length_b 4.589
_cell_length_c 7.115
_cell_angle_alpha 90.00
_cell_angle_beta 90.00
_cell_angle_gamma 90.00
loop_
_atom_site_label
_atom_site_type_symbol
_atom_site_fract_x
_atom_site_fract_y
_atom_site_fract_z
Ni1 Ni 0.000 0.000 0.000
B1 B 0.000 0.202 0.500
W1 W 0.000 0.500 0.200

***

Entry 11:
# YNi4B (PBE-GGA, optimized geometry)
# Formation energy: -0.4827 eV per atom
data_YNi4B
_symmetry_space_group_name_H-M 'P 6/m m m'
_symmetry_Int_Tables_number 191
_symmetry_space_group_name_Hall '-P 6 2'
_cell_length_a 4.9764
_cell_length_b 4.9764
_cell_length_c 6.9526
_cell_angle_alpha 90.00
_cell_angle_beta 90.00
_cell_angle_gamma 120.00
loop_
_atom_site_label
_atom_site_type_symbol
_atom_site_fract_x
_atom_site_fract_y
_atom_site_fract_z
Y1 Y 0.0000 0.0000 0.0000
Y2 Y 0.0000 0.0000 0.5000
Ni1 Ni 0.0000 0.5000 0.2079
Ni2 Ni 0.3333 0.6667 0.5000
B1 B 0.3333 0.6667 0.0000